DFT (PBE+U) results for an optimized crystal structure of NaMo3H29C8Br4O8.

Geometry as extended XYZ:
```
106
Lattice="-9.051 -6.820 -3.006 0.848 -11.644 1.328 -4.061 -1.938 12.313" Properties=species:S:1:pos:R:3 pbc="T T T"
C -9.177 -9.180 5.538
C -3.130 -3.785 5.423
C -8.305 -17.301 1.120
C -7.849 -9.319 -1.203
C -3.959 -3.101 9.515
C -5.693 -13.375 7.343
C -4.618 -10.150 1.603
C -7.646 -10.251 9.031
C -8.130 -12.431 3.357
C -4.134 -7.971 7.278
C -10.772 -14.901 8.186
C -4.415 -11.083 11.837
C -6.571 -7.026 3.291
C -9.134 -16.617 5.212
C -3.087 -11.222 5.097
C -1.492 -5.501 2.448
Br -6.954 -13.964 -0.402
Br -5.310 -6.438 11.037
Br -10.627 -7.451 8.986
Br -4.504 -14.887 3.218
Br -1.637 -12.951 1.649
Br -4.143 -6.384 0.203
Br -8.121 -14.018 10.432
Br -7.760 -5.515 7.416
H -9.950 -14.176 8.062
H -5.594 -12.676 6.499
H -5.507 -6.986 2.996
H -7.617 -12.498 4.333
H -9.865 -15.982 4.682
H -3.232 -2.681 8.798
H -2.179 -12.601 6.188
H -5.395 -14.379 6.996
H -9.032 -17.721 1.837
H -9.802 -9.960 6.004
H -5.440 -9.079 8.301
H -11.370 -14.918 7.262
H -8.184 -9.605 5.329
H -6.757 -13.416 7.638
H -3.205 -12.049 4.383
H -7.173 -11.017 8.395
H -7.898 -13.343 2.780
H -8.346 -17.919 0.204
H -9.059 -8.353 6.251
H -3.541 -10.189 1.861
H -4.758 -13.623 9.105
H -2.367 -3.184 3.708
H -4.366 -7.059 7.854
H -8.192 -8.938 -2.179
H -3.757 -3.277 6.166
H -8.642 -16.281 0.858
H -8.494 -15.979 5.839
H -5.091 -9.385 2.240
H -11.423 -14.544 9.003
H -3.049 -7.988 7.092
H -4.080 -10.797 5.305
H -8.723 -10.213 8.774
H -7.072 -8.644 -0.818
H -4.072 -11.464 12.813
H -2.314 -6.226 2.573
H -6.869 -6.023 3.639
H -5.192 -11.758 11.453
H -3.918 -2.483 10.431
H -7.406 -10.320 -1.346
H -9.215 -12.414 3.542
H -7.506 -6.779 1.529
H -3.622 -4.120 9.777
H -11.668 -17.312 8.231
H -2.399 -4.420 5.953
H -4.703 -9.811 0.554
H -8.507 -17.125 4.468
H -6.670 -7.725 4.135
H -0.841 -5.858 1.631
H -4.858 -10.082 11.981
H -6.824 -11.323 2.333
H -7.561 -10.591 10.081
H -2.462 -10.442 4.630
H -0.596 -3.090 2.404
H -4.647 -7.904 6.302
H -9.897 -17.218 6.926
H -10.085 -7.801 4.446
H -0.894 -5.484 3.373
H -3.770 -4.423 4.795
O -9.808 -17.608 6.019
O -4.864 -12.908 8.406
O -7.012 -8.996 8.822
O -2.456 -2.794 4.615
O -9.776 -8.724 4.311
O -8.914 -9.344 -0.246
O -10.274 -16.218 8.454
O -1.990 -4.183 2.181
O -7.006 -17.288 1.696
O -2.488 -11.678 6.323
O -4.483 -9.155 7.991
O -3.350 -11.058 10.880
O -7.400 -7.494 2.228
O -7.781 -11.247 2.644
O -5.252 -11.406 1.812
O -5.258 -3.114 8.938
Na -3.351 -11.138 8.502
Na -8.913 -9.264 2.132
Mo -5.487 -16.251 0.779
Mo -9.098 -16.503 10.141
Mo -4.477 -13.072 0.883
Mo -3.166 -3.899 0.493
Mo -6.777 -4.151 9.855
Mo -7.787 -7.330 9.752
```

Calculated values
Total energy after the MP2020 corrections   -560.75 eV/cell
Formation enthalpy at 0 K   -531 meV per atom
V   1529.5 Å³/cell
Space-group type   No. 2
Theoretical density   1919 kg/m³